[1]
First-principles (PBE) data for crystalline Li3Bi2P3O12 at its relaxed geometry, as listed in the Materials Project.

## Properties
**Space-group type**: No. 12
**Uncorrected energy**: -0.479 Ry per atom
**Magnetization**: 0.000 μB/f.u.
**Energy relative to the lowest polymorph listed for this composition**: 0.0346 eV per atom

Cell and atoms, written as extended XYZ:
```
40
Lattice="-0.282 1.638 -4.883 2.179 -3.212 -3.397 -18.055 -9.912 -2.449" Properties=species:S:1:pos:R:3 pbc="T T T"
Bi -9.028 -4.956 -1.225
Bi 0.000 0.000 0.000
Bi -14.813 -8.136 -2.023
Bi -1.346 -3.350 -8.706
O -15.990 -8.765 -6.990
O -8.199 -5.206 -3.412
O -7.959 -6.280 -7.316
O -4.286 -2.372 -5.375
O -6.011 -3.943 -2.915
O -14.871 -10.971 -6.315
O -3.197 -4.517 -4.718
O -9.031 -7.724 -5.515
O -7.128 -3.763 -5.214
O -13.779 -9.449 -8.020
O -0.170 -0.752 -2.171
O -12.961 -6.969 -6.011
O -10.121 -5.575 -6.173
O -0.169 -2.721 -3.738
O -1.288 -0.516 -4.414
O -2.167 -3.117 -6.583
O -11.873 -9.114 -5.353
O -2.379 -2.037 -2.708
O -15.988 -10.735 -8.557
O -11.808 -7.133 -3.726
O -13.992 -8.370 -4.145
O -10.147 -7.543 -7.814
O -4.351 -4.353 -7.003
O -6.038 -5.911 -4.555
Li -10.134 -6.463 -4.309
Li -4.247 -3.217 -3.466
Li -11.912 -8.269 -7.263
Li -6.024 -5.024 -6.419
Li -10.011 -8.110 -9.890
Li -6.148 -3.376 -0.838
P -12.658 -7.877 -4.743
P -15.141 -9.988 -7.523
P -6.839 -4.683 -3.957
P -1.018 -1.498 -3.206
P -9.320 -6.804 -6.772
P -3.500 -3.610 -5.985
```


[2]
First-principles (PBE) data for crystalline Pd5N18Cl10 at its relaxed geometry, as listed in the Materials Project.

## Properties
**Space-group type**: No. 137
**Uncorrected energy**: -0.290 Ry per atom
**Magnetization**: 23.985 μB/f.u.

Cell and atoms, written as extended XYZ:
```
66
Lattice="7.933 0.000 0.000 0.000 7.933 0.000 0.000 0.000 24.342" Properties=species:S:1:pos:R:3 pbc="T T T"
N 1.983 3.875 17.082
N 0.100 5.950 6.639
N 1.983 1.983 7.353
N 1.983 1.983 19.524
N 5.950 0.100 18.810
N 3.861 1.983 22.748
N 0.632 5.950 12.333
N 4.599 1.983 12.010
N 7.833 1.983 17.704
N 5.950 3.334 0.162
N 7.301 1.983 12.010
N 4.067 1.983 17.704
N 5.950 5.950 16.990
N 5.950 7.828 13.766
N 5.950 4.072 13.766
N 7.828 5.950 1.594
N 1.983 0.092 17.082
N 4.058 5.950 19.431
N 1.983 0.105 10.577
N 1.983 7.833 5.532
N 5.950 7.842 7.260
N 3.866 5.950 6.639
N 5.950 0.632 0.162
N 4.072 5.950 1.594
N 3.334 5.950 12.333
N 5.950 5.950 4.818
N 0.105 1.983 22.748
N 7.842 5.950 19.431
N 1.983 7.301 24.181
N 3.875 1.983 4.911
N 1.983 4.599 24.181
N 0.092 1.983 4.911
N 1.983 4.067 5.532
N 1.983 3.861 10.577
N 5.950 3.866 18.810
N 5.950 4.058 7.260
Cl 1.983 1.983 2.994
Cl 0.554 0.062 9.562
Cl 7.379 4.029 14.781
Cl 4.520 4.029 14.781
Cl 3.905 3.413 21.733
Cl 3.413 3.905 9.562
Cl 4.029 7.379 2.609
Cl 3.413 0.062 9.562
Cl 4.029 4.520 2.609
Cl 5.950 5.950 21.348
Cl 4.520 7.871 14.781
Cl 3.905 0.554 21.733
Cl 7.871 4.520 2.609
Cl 7.379 7.871 14.781
Cl 5.950 5.950 9.177
Cl 0.062 0.554 21.733
Cl 0.554 3.905 9.562
Cl 1.983 1.983 15.165
Cl 0.062 3.413 21.733
Cl 7.871 7.379 2.609
Pd 5.950 1.983 18.257
Pd 5.950 1.983 23.173
Pd 5.950 5.950 18.829
Pd 1.983 5.950 1.169
Pd 5.950 5.950 6.658
Pd 1.983 5.950 11.002
Pd 5.950 1.983 13.341
Pd 1.983 1.983 5.513
Pd 1.983 1.983 17.684
Pd 1.983 5.950 6.086
```


[3]
First-principles (PBE) data for crystalline BaHf4SnO12 at its relaxed geometry, as listed in the Materials Project.

## Properties
**Space-group type**: No. 38
**Uncorrected energy**: -0.628 Ry per atom
**Magnetization**: 2.000 μB/f.u.

Cell and atoms, written as extended XYZ:
```
18
Lattice="-3.070 4.481 -1.750 4.794 2.911 -1.053 0.095 -2.941 -7.696" Properties=species:S:1:pos:R:3 pbc="T T T"
O -0.050 4.805 -6.248
O -1.491 2.503 -0.975
O -1.115 0.242 -4.517
O -1.734 3.251 -4.172
O 1.236 4.487 -3.883
O 3.100 2.577 -2.976
O -1.701 2.249 -6.794
O 0.576 -0.034 -6.618
O -0.749 5.681 -2.180
O 1.284 3.001 -7.769
O 0.528 1.452 -2.731
O 3.152 0.989 -7.131
Hf -0.662 5.173 -4.204
Hf -1.512 1.528 -2.822
Hf -0.614 3.711 -8.028
Hf -1.464 0.066 -6.646
Ba 1.036 3.662 -1.386
Sn 4.641 1.481 -4.919
```


[4]
First-principles (PBE) data for crystalline Tb3InN at its relaxed geometry, as listed in the Materials Project.

## Properties
**Space-group type**: No. 221
**Uncorrected energy**: -0.440 Ry per atom

Cell and atoms, written as extended XYZ:
```
5
Lattice="-2.291 -3.284 -2.734 3.078 0.884 -3.641 2.964 -3.456 1.667" Properties=species:S:1:pos:R:3 pbc="T T T"
N 1.875 -2.928 -2.354
Tb 3.021 -1.286 -0.987
Tb 0.336 -3.370 -0.534
Tb 0.393 -1.200 -3.187
In 0.000 0.000 0.000
```


[5]
First-principles (PBE) data for crystalline Lu5Pb3 at its relaxed geometry, as listed in the Materials Project.

## Properties
**Space-group type**: No. 193
**Uncorrected energy**: -0.344 Ry per atom
**Magnetization**: 0.001 μB/f.u.

Cell and atoms, written as extended XYZ:
```
16
Lattice="-0.855 -6.410 -0.678 8.731 -1.261 0.913 -5.258 -0.054 7.138" Properties=species:S:1:pos:R:3 pbc="T T T"
Lu 1.423 -5.106 -0.293
Lu 4.502 -2.905 6.194
Lu -1.884 -4.821 1.179
Lu 0.607 -1.913 1.734
Lu 6.453 -2.565 0.527
Lu 2.011 -5.812 5.639
Lu -1.450 -6.867 4.385
Lu 3.640 -4.064 2.648
Lu -1.023 -3.662 4.724
Lu 3.213 -7.269 2.309
Pb 4.641 -5.571 0.043
Pb 3.235 -2.100 0.191
Pb 1.888 -2.398 4.701
Pb 4.908 -6.101 4.722
Pb 0.730 -5.327 2.671
Pb -2.290 -1.624 2.650
```


[6]
First-principles (PBE) data for crystalline ZrTl4Se4 at its relaxed geometry, as listed in the Materials Project.

## Properties
**Space-group type**: No. 2
**Uncorrected energy**: -0.315 Ry per atom

Cell and atoms, written as extended XYZ:
```
45
Lattice="-6.873 -2.612 -6.119 5.772 -6.727 -3.605 -4.720 -6.007 14.572" Properties=species:S:1:pos:R:3 pbc="T T T"
Tl -4.745 -12.413 8.239
Tl -3.628 -5.488 11.083
Tl -2.960 -7.816 4.534
Tl -1.077 -2.932 -3.391
Tl -3.820 -4.727 7.007
Tl -2.862 -7.530 0.315
Tl -1.052 -12.588 9.852
Tl -4.770 -2.757 -5.004
Tl -1.450 -11.968 5.827
Tl 0.774 -7.799 1.923
Tl 0.461 -6.876 -2.112
Tl -6.596 -7.546 2.925
Tl -2.002 -10.618 -2.159
Tl -4.372 -3.377 -0.979
Tl -3.171 -6.918 -3.753
Tl -2.194 -9.857 -6.234
Tl -1.939 -11.378 1.841
Tl -3.883 -3.967 3.008
Tl -6.283 -8.470 6.960
Tl -2.651 -8.427 8.602
Zr 2.886 -3.363 -1.802
Zr 1.016 -8.265 6.162
Zr -0.402 -3.719 0.724
Zr -6.838 -7.081 -1.314
Zr -5.420 -11.627 4.124
Se 0.723 -1.851 -0.996
Se -2.078 -2.874 5.305
Se -4.003 -10.432 6.075
Se -1.321 -5.533 2.575
Se -2.532 -4.789 -5.934
Se 1.881 -5.221 -0.024
Se -2.416 -2.017 1.210
Se -0.926 -6.327 6.583
Se -0.450 -9.502 4.285
Se -6.545 -13.494 5.844
Se -3.744 -12.472 -0.457
Se -1.819 -4.914 -1.227
Se -3.406 -13.329 3.639
Se -7.702 -10.124 4.873
Se -5.372 -5.843 0.564
Se -3.290 -10.557 10.782
Se -5.780 -5.426 -3.227
Se -4.896 -9.019 -1.734
Se -4.500 -9.813 2.273
Se -0.042 -9.920 8.076
```


[7]
First-principles (PBE) data for crystalline Ba2YBr7 at its relaxed geometry, as listed in the Materials Project.

## Properties
**Space-group type**: No. 14
**Uncorrected energy**: -0.313 Ry per atom
**Magnetization**: 0.000 μB/f.u.
**Energy relative to the lowest polymorph listed for this composition**: 0.0000 eV per atom

Cell and atoms, written as extended XYZ:
```
40
Lattice="16.604 0.000 0.000 0.000 7.322 0.000 0.000 0.134 11.263" Properties=species:S:1:pos:R:3 pbc="T T T"
Br 14.878 0.067 4.845
Br 15.930 2.286 8.865
Br 2.317 2.154 0.322
Br 1.726 7.388 6.418
Br 12.849 7.413 7.955
Br 6.557 3.588 0.946
Br 4.290 3.700 9.025
Br 7.140 6.415 4.254
Br 5.985 2.221 5.954
Br 14.859 3.801 4.685
Br 7.628 5.237 8.030
Br 1.162 6.482 9.886
Br 12.058 7.346 2.323
Br 10.029 0.134 10.477
Br 12.592 3.823 7.870
Br 8.977 2.219 3.234
Br 15.442 0.973 1.377
Br 4.547 0.109 8.940
Br 6.576 7.321 0.787
Br 10.620 5.235 5.309
Br 1.745 3.655 6.578
Br 14.287 5.301 10.941
Br 0.675 5.170 2.398
Br 10.048 3.868 10.317
Br 12.315 3.756 2.238
Br 3.755 0.042 3.309
Br 4.012 3.633 3.394
Br 9.464 1.040 7.009
Y 14.493 5.767 2.458
Y 2.112 1.689 8.805
Y 10.414 5.834 8.090
Y 6.191 1.622 3.174
Ba 0.998 2.007 3.650
Ba 15.607 5.449 7.613
Ba 4.642 5.439 6.174
Ba 7.304 2.074 9.282
Ba 3.660 5.372 0.543
Ba 12.945 2.083 10.721
Ba 9.300 5.382 1.981
Ba 11.962 2.016 5.089
```


[8]
First-principles (PBE) data for crystalline Sr4LiSm2Ta2O12 at its relaxed geometry, as listed in the Materials Project.

## Properties
**Space-group type**: No. 1
**Uncorrected energy**: -0.566 Ry per atom
**Magnetization**: 0.000 μB/f.u.
**Energy relative to the lowest polymorph listed for this composition**: 0.0191 eV per atom

Cell and atoms, written as extended XYZ:
```
21
Lattice="-2.634 -4.942 -2.105 4.503 -0.833 -4.026 4.060 -4.632 5.830" Properties=species:S:1:pos:R:3 pbc="T T T"
O 1.830 -4.379 -1.606
O 4.029 -5.788 1.525
O 3.098 -1.919 -2.973
O 5.647 -8.760 0.809
O 0.299 -1.596 -1.285
O 3.014 -8.655 2.839
O 4.276 -3.685 -0.371
O 1.911 -3.944 1.259
O 7.174 -4.776 0.481
O 3.769 -6.550 -1.261
O 1.484 -6.583 0.378
O -1.314 -5.745 -0.776
Li 3.380 -3.407 -1.910
Ta 4.038 -4.664 5.787
Ta 2.929 -5.220 -0.014
Sr 1.869 -5.987 3.111
Sr 2.816 -8.760 0.095
Sr -0.185 -3.677 -0.125
Sr 0.454 -6.276 -2.415
Sm 5.028 -7.474 2.616
Sm 6.457 -3.168 -1.072
```


[9]
First-principles (PBE) data for crystalline Ti3WC4 at its relaxed geometry, as listed in the Materials Project.

## Properties
**Space-group type**: No. 166
**Uncorrected energy**: -0.721 Ry per atom
**Magnetization**: 0.000 μB/f.u.

Cell and atoms, written as extended XYZ:
```
8
Lattice="10.097 -1.535 0.000 10.097 1.535 0.000 9.864 0.000 2.648" Properties=species:S:1:pos:R:3 pbc="T T T"
W 0.000 0.000 0.000
C 11.277 0.000 0.993
C 18.781 0.000 1.654
C 26.296 0.000 2.316
C 3.761 0.000 0.331
Ti 15.029 0.000 1.324
Ti 22.561 0.000 1.987
Ti 7.496 0.000 0.660
```


[10]
First-principles (PBE) data for crystalline Ca3Cu5Si9O26 at its relaxed geometry, as listed in the Materials Project.

## Properties
**Space-group type**: No. 15
**Uncorrected energy**: -0.520 Ry per atom
**Magnetization**: 5.000 μB/f.u.

Cell and atoms, written as extended XYZ:
```
86
Lattice="-5.534 4.595 -0.152 -4.286 -5.387 -2.094 -4.011 -4.771 19.221" Properties=species:S:1:pos:R:3 pbc="T T T"
Ca -10.932 -5.276 16.169
Ca -4.277 -2.516 7.621
Ca -2.899 -0.286 0.807
Ca -5.697 -3.795 13.801
Ca -9.553 -3.047 9.355
Ca -8.134 -1.767 3.175
Cu -4.772 -0.088 9.535
Cu -9.648 -6.051 10.578
Cu -8.717 0.367 15.744
Cu -4.183 0.489 6.398
Cu -2.143 -2.693 -1.047
Cu -2.886 -3.283 2.055
Cu -6.921 2.736 6.086
Cu -6.909 -8.298 10.890
Cu -10.945 -2.280 14.921
Cu -5.113 -5.930 1.231
O -8.850 -0.491 1.147
O -8.375 -1.439 10.926
O -4.079 -2.366 0.844
O -5.316 -3.724 18.167
O -8.003 -1.118 16.758
O -4.869 -5.473 3.773
O -5.827 -4.444 0.218
O -4.378 -2.354 12.239
O -9.055 -5.412 12.987
O -7.768 1.124 6.743
O -4.980 -5.072 15.829
O -5.627 -0.640 7.006
O -9.280 -2.737 13.028
O -9.752 -3.196 16.132
O -5.338 -1.931 9.683
O -8.962 -0.089 13.203
O -7.078 -3.548 16.134
O -8.355 -3.167 18.410
O -11.244 -4.117 13.955
O -8.294 -7.973 13.059
O -2.587 -1.445 3.020
O -6.998 -3.749 3.834
O -4.870 1.068 1.658
O -6.690 -5.949 13.974
O -10.369 -1.907 6.942
O -7.857 -0.903 8.454
O -8.203 -4.922 9.970
O -3.220 -1.247 5.721
O -8.961 -6.630 15.317
O -6.833 -1.813 13.142
O -6.752 -2.014 0.842
O -6.670 2.677 0.330
O -5.456 -4.124 6.050
O -8.492 -3.631 7.292
O -7.160 -8.239 16.646
O -7.141 0.386 3.002
O -5.537 2.411 3.917
O -5.973 -4.660 8.522
O -8.515 -1.839 -1.191
O -6.873 -5.724 17.732
O -4.776 -0.150 3.989
O -7.385 -6.033 6.525
O -5.476 -2.395 -1.434
O -7.951 -1.394 5.865
O -6.957 0.162 -0.756
O -3.462 -3.656 10.034
O -6.062 -6.687 10.233
O -5.880 -4.168 11.110
O -4.551 -2.825 3.947
O -10.610 -4.315 11.255
O -9.452 -3.208 4.737
O -6.445 0.471 10.450
Si -9.056 -2.583 6.211
Si -6.015 -5.353 7.027
Si -7.766 -0.997 0.012
Si -6.064 -4.566 16.964
Si -4.774 -2.980 10.765
Si -5.473 -2.864 0.179
Si -8.193 -6.536 13.816
Si -5.637 0.974 3.160
Si -8.358 -2.698 16.796
Si -8.699 -7.793 16.482
Si -10.076 -4.148 12.800
Si -3.754 -1.414 4.176
Si -6.602 -5.179 9.991
Si -7.229 -0.383 6.985
Si -5.504 -4.095 4.362
Si -7.816 -0.209 9.949
Si -8.327 -1.467 12.614
Si -5.132 2.231 0.494
```